[1]
Entry from the Materials Project database: a geometry-optimized Pr2Sn3 structure (meta-GGA r2SCAN).

Geometry as POSCAR:
```
Pr2Sn3
1.0
-2.183 -5.858 1.742
7.891 -0.247 3.445
-6.544 5.990 6.948
Sn Pr
12 8
direct
0.225 0.407 0.865 Sn
0.775 0.593 0.135 Sn
0.562 0.835 0.947 Sn
0.952 0.648 0.619 Sn
0.328 0.600 0.136 Sn
0.048 0.352 0.381 Sn
0.648 0.835 0.503 Sn
0.821 0.958 0.776 Sn
0.672 0.400 0.864 Sn
0.438 0.165 0.053 Sn
0.179 0.042 0.224 Sn
0.352 0.165 0.497 Sn
0.872 0.249 0.619 Pr
0.444 0.569 0.664 Pr
0.670 0.965 0.255 Pr
0.330 0.035 0.745 Pr
0.128 0.751 0.381 Pr
0.041 0.746 0.945 Pr
0.959 0.254 0.054 Pr
0.556 0.431 0.336 Pr
```

Results
formation energy from the elements	-783	meV/atom

[2]
Entry from the Materials Project database: a geometry-optimized Pr5Sn3 structure (meta-GGA r2SCAN).

Geometry as POSCAR:
```
Pr5Sn3
1.0
3.669 1.197 -5.766
4.149 7.309 4.158
3.807 -8.545 0.648
Pr Sn
10 6
direct
0.500 0.667 0.333 Pr
0.250 0.000 0.755 Pr
0.000 0.667 0.333 Pr
0.250 0.755 0.000 Pr
0.000 0.333 0.667 Pr
0.250 0.245 0.245 Pr
0.750 0.755 0.755 Pr
0.500 0.333 0.667 Pr
0.750 0.245 0.000 Pr
0.750 0.000 0.245 Pr
0.750 0.000 0.608 Sn
0.750 0.392 0.392 Sn
0.250 0.392 0.000 Sn
0.250 0.608 0.608 Sn
0.250 0.000 0.392 Sn
0.750 0.608 0.000 Sn
```

Results
formation energy from the elements	-797	meV/atom
excess energy over the best structure of this formula in the dataset	0.3	kJ/mol of atoms

[3]
Entry from the Materials Project database: a geometry-optimized PrSn3 structure (meta-GGA r2SCAN).

Geometry as POSCAR:
```
PrSn3
1.0
4.782 0.000 0.000
0.000 4.782 0.000
0.000 0.000 4.782
Pr Sn
1 3
direct
0.000 0.000 0.000 Pr
0.500 0.000 0.500 Sn
0.500 0.500 0.000 Sn
0.000 0.500 0.500 Sn
```

Results
formation energy from the elements	-495	meV/atom

[4]
Entry from the Materials Project database: a geometry-optimized Pr5Sn3 structure (meta-GGA r2SCAN).

Geometry as POSCAR:
```
Pr5Sn3
1.0
6.040 0.000 2.098
3.020 8.935 1.049
0.089 0.000 9.489
Pr Sn
10 6
direct
0.285 0.133 0.298 Pr
0.917 0.867 0.298 Pr
0.583 0.702 0.133 Pr
0.417 0.298 0.867 Pr
0.750 0.500 0.500 Pr
0.785 0.298 0.133 Pr
0.215 0.702 0.867 Pr
0.083 0.133 0.702 Pr
0.715 0.867 0.702 Pr
0.250 0.500 0.500 Pr
0.840 0.500 0.820 Sn
0.660 0.180 0.500 Sn
0.340 0.820 0.500 Sn
0.750 0.000 0.000 Sn
0.160 0.500 0.180 Sn
0.250 0.000 0.000 Sn
```

Results
formation energy from the elements	-800	meV/atom
excess energy over the best structure of this formula in the dataset	0.0	kJ/mol of atoms

[5]
Entry from the Materials Project database: a geometry-optimized Tb3Pr structure (meta-GGA r2SCAN).

Geometry as POSCAR:
```
Tb3Pr
1.0
3.493 0.729 5.109
5.100 3.271 -1.459
-6.047 1.067 -1.066
Pr Tb
1 3
direct
0.000 0.000 0.000 Pr
0.500 0.500 0.000 Tb
0.250 0.750 0.500 Tb
0.750 0.250 0.500 Tb
```

Results
formation energy from the elements	39	meV/atom
excess energy over the best structure of this formula in the dataset	2.6	kJ/mol of atoms

[6]
Entry from the Materials Project database: a geometry-optimized Tb3Pr structure (meta-GGA r2SCAN).

Geometry as POSCAR:
```
Tb3Pr
1.0
0.765 3.542 -0.609
-3.473 -1.186 -0.175
-1.331 2.229 11.298
Tb Pr
3 1
direct
0.333 0.667 0.500 Tb
0.000 0.000 0.744 Tb
0.000 0.000 0.256 Tb
0.333 0.667 0.000 Pr
```

Results
formation energy from the elements	15	meV/atom
excess energy over the best structure of this formula in the dataset	0.3	kJ/mol of atoms

[7]
Entry from the Materials Project database: a geometry-optimized Tb3Pr structure (meta-GGA r2SCAN).

Geometry as POSCAR:
```
Tb3Pr
1.0
-4.189 5.386 -2.728
-2.841 -4.798 4.786
1.593 3.489 4.443
Tb Pr
6 2
direct
0.164 0.327 0.250 Tb
0.836 0.673 0.750 Tb
0.327 0.164 0.750 Tb
0.164 0.836 0.250 Tb
0.836 0.164 0.750 Tb
0.673 0.836 0.250 Tb
0.667 0.333 0.250 Pr
0.333 0.667 0.750 Pr
```

Results
formation energy from the elements	12	meV/atom
excess energy over the best structure of this formula in the dataset	0.0	kJ/mol of atoms

[8]
Entry from the Materials Project database: a geometry-optimized Pr2Te3 structure (meta-GGA r2SCAN).

Geometry as POSCAR:
```
Pr2Te3
1.0
24.998 -0.018 -0.032
5.549 7.847 0.000
5.549 -3.924 6.795
Te Pr
24 16
direct
0.050 0.999 0.352 Te
0.210 0.008 0.864 Te
0.449 0.657 0.651 Te
0.949 0.502 0.997 Te
0.623 0.495 0.992 Te
0.949 0.151 0.157 Te
0.783 0.504 0.000 Te
0.623 0.135 0.138 Te
0.385 0.349 0.503 Te
0.051 0.349 0.496 Te
0.710 0.364 0.508 Te
0.783 0.648 0.651 Te
0.551 0.996 0.849 Te
0.283 0.500 0.004 Te
0.283 0.151 0.148 Te
0.123 0.492 0.994 Te
0.123 0.638 0.635 Te
0.384 0.998 0.343 Te
0.449 0.497 0.002 Te
0.885 0.003 0.849 Te
0.710 0.006 0.362 Te
0.210 0.862 0.506 Te
0.884 0.843 0.498 Te
0.550 0.852 0.499 Te
0.167 0.250 0.631 Pr
0.836 0.239 0.615 Pr
0.336 0.376 0.252 Pr
0.251 0.873 0.123 Pr
0.082 0.627 0.377 Pr
0.336 0.115 0.739 Pr
0.997 0.385 0.248 Pr
0.167 0.750 0.869 Pr
0.497 0.748 0.885 Pr
0.667 0.131 0.750 Pr
0.497 0.261 0.624 Pr
0.751 0.623 0.373 Pr
0.997 0.124 0.761 Pr
0.667 0.369 0.250 Pr
0.582 0.877 0.127 Pr
0.836 0.752 0.876 Pr
```

Results
formation energy from the elements	-1717	meV/atom

[9]
Entry from the Materials Project database: a geometry-optimized PrTe3 structure (meta-GGA r2SCAN).

Geometry as POSCAR:
```
PrTe3
1.0
-2.976 -3.194 0.578
1.310 -1.900 -3.752
10.607 -5.659 6.568
Pr Te
2 6
direct
0.750 0.250 0.660 Pr
0.090 0.750 0.340 Pr
0.993 0.250 0.147 Te
0.346 0.250 0.853 Te
0.626 0.250 0.412 Te
0.214 0.750 0.588 Te
0.846 0.750 0.853 Te
0.493 0.750 0.147 Te
```

Results
formation energy from the elements	-1151	meV/atom

[10]
Entry from the Materials Project database: a geometry-optimized PrTlTe2 structure (meta-GGA r2SCAN).

Geometry as POSCAR:
```
PrTlTe2
1.0
4.106 -0.093 2.094
3.110 -3.196 -1.168
5.406 3.892 -5.353
Te Tl Pr
2 1 1
direct
0.741 0.741 0.777 Te
0.259 0.259 0.223 Te
0.500 0.500 0.500 Tl
0.000 0.000 0.000 Pr
```

Results
formation energy from the elements	-1276	meV/atom

[11]
Entry from the Materials Project database: a geometry-optimized PrTh structure (meta-GGA r2SCAN).

Geometry as POSCAR:
```
PrTh
1.0
-4.177 -0.570 -4.672
-2.141 -3.572 -4.717
-4.854 -3.256 -2.330
Th Pr
1 1
direct
0.500 0.500 0.500 Th
0.000 0.000 0.000 Pr
```

Results
formation energy from the elements	66	meV/atom

Among the records above, which one has the highest formation energy from the elements?
PrTh

Copy entry 7 word for word.
Entry from the Materials Project database: a geometry-optimized Tb3Pr structure (meta-GGA r2SCAN).

Geometry as POSCAR:
```
Tb3Pr
1.0
-4.189 5.386 -2.728
-2.841 -4.798 4.786
1.593 3.489 4.443
Tb Pr
6 2
direct
0.164 0.327 0.250 Tb
0.836 0.673 0.750 Tb
0.327 0.164 0.750 Tb
0.164 0.836 0.250 Tb
0.836 0.164 0.750 Tb
0.673 0.836 0.250 Tb
0.667 0.333 0.250 Pr
0.333 0.667 0.750 Pr
```

Results
formation energy from the elements	12	meV/atom
excess energy over the best structure of this formula in the dataset	0.0	kJ/mol of atoms

formation energy from the elements of number 4 (Pr5Sn3)?
-800 meV/atom

Look up the formation energy from the elements of the second one.
-797 meV/atom